Entry 1:
The following is a DFT calculation (PBE-GGA) of crystalline NdTiFe11C at its relaxed geometry.

For the calculated volume, the calculation gives 181 Å³/cell. For the energy relative to the elements, the calculation gives -0.0437 eV per atom. For the spin magnetization, the calculation gives 22.442 Bohr magnetons per cell.

Cell lengths 4.955, 6.530, 6.530 Å; angles 97.98, 112.30, 67.70 degrees
Element x y z (fractional)
Nd: 0.007 0.993 0.007
Ti: 0.633 0.367 0.633
Fe: 0.725 0.775 0.225
Fe: 0.277 0.223 0.777
Fe: 0.498 0.781 0.776
Fe: 0.498 0.224 0.219
Fe: 0.500 0.998 0.499
Fe: 0.001 0.998 0.499
Fe: 0.500 0.501 0.002
Fe: 0.001 0.501 0.002
Fe: 0.358 0.642 0.358
Fe: 0.000 0.360 0.360
Fe: 0.000 0.640 0.640
C: 0.501 0.999 0.001

***

Entry 2:
The following is a DFT calculation (PBE-GGA) of crystalline NaHf2Mg2PS5O24 at its relaxed geometry.

For the calculated volume, the calculation gives 1519 Å³/cell. As for the total energy after the MP2020 corrections: -7.401 eV per atom. For the energy relative to the elements, the calculation gives -2.5646 eV per atom. For the spin magnetization, the calculation gives 0.000 Bohr magnetons per cell.

Cell lengths 8.782, 8.791, 22.738 Å; angles 90.00, 89.93, 120.06 degrees
Element x y z (fractional)
Na: 0.670 0.333 0.829
Na: 0.663 0.334 0.333
Na: 0.336 0.670 0.164
Hf: 0.002 0.994 0.355
Hf: 0.999 0.000 0.642
Hf: 0.999 0.993 0.144
Hf: 0.672 0.333 0.977
Hf: 0.339 0.673 0.314
Hf: 0.325 0.660 0.811
Mg: 0.000 0.006 0.855
Mg: 0.667 0.333 0.682
Mg: 0.660 0.334 0.187
Mg: 0.666 0.334 0.487
Mg: 0.329 0.661 0.015
Mg: 0.333 0.666 0.526
P: 0.295 0.005 0.250
P: 0.711 0.705 0.250
P: 0.048 0.372 0.918
S: 0.996 0.289 0.250
S: 0.292 0.285 0.751
S: 0.994 0.710 0.751
S: 0.713 0.004 0.751
S: 0.957 0.339 0.583
S: 0.382 0.043 0.583
S: 0.661 0.618 0.583
S: 0.959 0.618 0.085
S: 0.661 0.041 0.085
S: 0.379 0.339 0.084
S: 0.625 0.672 0.917
S: 0.327 0.953 0.917
S: 0.623 0.961 0.419
S: 0.337 0.379 0.419
S: 0.041 0.660 0.419
O: 0.202 0.027 0.304
O: 0.824 0.800 0.305
O: 0.973 0.182 0.303
O: 0.211 0.180 0.803
O: 0.971 0.791 0.804
O: 0.820 0.029 0.803
O: 0.793 0.973 0.698
O: 0.180 0.208 0.698
O: 0.027 0.821 0.698
O: 0.795 0.827 0.195
O: 0.030 0.210 0.197
O: 0.174 0.971 0.195
O: 0.877 0.363 0.636
O: 0.486 0.123 0.636
O: 0.637 0.514 0.636
O: 0.876 0.512 0.137
O: 0.638 0.124 0.137
O: 0.486 0.363 0.136
O: 0.458 0.306 0.031
O: 0.846 0.541 0.031
O: 0.693 0.153 0.031
O: 0.454 0.154 0.530
O: 0.700 0.547 0.530
O: 0.846 0.300 0.530
O: 0.544 0.695 0.970
O: 0.154 0.462 0.972
O: 0.309 0.851 0.970
O: 0.542 0.847 0.469
O: 0.305 0.458 0.469
O: 0.154 0.695 0.469
O: 0.125 0.638 0.364
O: 0.513 0.875 0.364
O: 0.360 0.487 0.363
O: 0.130 0.497 0.862
O: 0.367 0.877 0.864
O: 0.511 0.635 0.864
O: 0.025 0.821 0.408
O: 0.798 0.977 0.407
O: 0.177 0.203 0.407
O: 0.020 0.193 0.906
O: 0.178 0.976 0.907
O: 0.800 0.820 0.907
O: 0.975 0.177 0.593
O: 0.201 0.025 0.593
O: 0.823 0.798 0.593
O: 0.973 0.796 0.091
O: 0.824 0.027 0.092
O: 0.202 0.178 0.092
O: 0.689 0.158 0.743
O: 0.470 0.311 0.743
O: 0.842 0.532 0.743
O: 0.693 0.526 0.243
O: 0.843 0.309 0.243
O: 0.476 0.163 0.243
O: 0.639 0.506 0.924
O: 0.860 0.359 0.924
O: 0.492 0.134 0.924
O: 0.643 0.136 0.423
O: 0.492 0.357 0.422
O: 0.864 0.506 0.423
O: 0.357 0.493 0.077
O: 0.136 0.646 0.077
O: 0.509 0.865 0.076
O: 0.355 0.867 0.574
O: 0.512 0.645 0.574
O: 0.133 0.488 0.574
O: 0.305 0.833 0.258
O: 0.527 0.691 0.258
O: 0.159 0.465 0.257
O: 0.309 0.464 0.758
O: 0.157 0.695 0.758
O: 0.535 0.843 0.759

***

Entry 3:
The following is a DFT calculation (PBE-GGA) of crystalline SnS2O4 at its relaxed geometry.

For the calculated volume, the calculation gives 559 Å³/cell. As for the total energy after the MP2020 corrections: -6.058 eV per atom. For the energy relative to the elements, the calculation gives -1.4755 eV per atom. For the spin magnetization, the calculation gives 0.004 Bohr magnetons per cell.

Cell lengths 7.742, 7.420, 11.232 Å; angles 59.96, 90.00, 90.00 degrees
Element x y z (fractional)
Sn: 0.742 0.595 0.584
Sn: 0.242 0.405 0.916
Sn: 0.258 0.405 0.416
Sn: 0.758 0.595 0.084
S: 0.517 0.122 0.713
S: 0.017 0.878 0.787
S: 0.483 0.878 0.287
S: 0.983 0.122 0.213
S: 0.681 0.191 0.509
S: 0.181 0.809 0.991
S: 0.319 0.809 0.491
S: 0.819 0.191 0.009
O: 0.342 0.192 0.641
O: 0.842 0.808 0.859
O: 0.658 0.808 0.359
O: 0.158 0.192 0.141
O: 0.528 0.271 0.410
O: 0.028 0.729 0.090
O: 0.472 0.729 0.590
O: 0.972 0.271 0.910
O: 0.601 0.294 0.730
O: 0.101 0.706 0.770
O: 0.399 0.706 0.270
O: 0.899 0.294 0.230
O: 0.714 0.371 0.001
O: 0.214 0.629 0.499
O: 0.286 0.629 0.999
O: 0.786 0.371 0.501

***

Number 1: total DFT energy (no corrections) -8.2625 eV per atom, theoretical density 7.5 Mg/m³. Number 2: total DFT energy (no corrections) -6.9302 eV per atom, theoretical density 3.3 Mg/m³. Number 3: total DFT energy (no corrections) -5.6649 eV per atom, theoretical density 2.9 Mg/m³.